# 1
# TbAgPb | Materials Project | PBE | relaxed
# Crystal system: hexagonal
# Space group: P6_3mc
data_TbAgPb
_cell_length_a 4.837
_cell_length_b 4.837
_cell_length_c 7.541
_cell_angle_alpha 90.00
_cell_angle_beta 90.00
_cell_angle_gamma 120.00
_symmetry_space_group_name_H-M 'P 1'
_symmetry_Int_Tables_number 1
loop_
_symmetry_equiv_pos_as_xyz
'x,y,z'
loop_
_atom_site_label
_atom_site_type_symbol
_atom_site_fract_x
_atom_site_fract_y
_atom_site_fract_z
Tb1 Tb 0.000 0.000 0.000
Tb2 Tb 0.000 0.000 0.500
Ag1 Ag 0.333 0.667 0.185
Ag2 Ag 0.667 0.333 0.685
Pb1 Pb 0.333 0.667 0.780
Pb2 Pb 0.667 0.333 0.280

***

# 2
# NaSbN2 | Materials Project | PBE | relaxed
# Crystal system: trigonal
# Space group: R-3m
data_NaSbN2
_cell_length_a 6.111
_cell_length_b 6.111
_cell_length_c 6.111
_cell_angle_alpha 30.41
_cell_angle_beta 30.41
_cell_angle_gamma 30.41
_symmetry_space_group_name_H-M 'P 1'
_symmetry_Int_Tables_number 1
loop_
_symmetry_equiv_pos_as_xyz
'x,y,z'
loop_
_atom_site_label
_atom_site_type_symbol
_atom_site_fract_x
_atom_site_fract_y
_atom_site_fract_z
Na1 Na 0.000 0.000 0.000
Sb1 Sb 0.500 0.500 0.500
N1 N 0.232 0.232 0.232
N2 N 0.768 0.768 0.768

***

# 3
# BaBe2B2O6 | Materials Project | PBE | relaxed
# Crystal system: orthorhombic
# Relative energy among the computed polymorphs in eV per atom: 0.000
# Space group: Fddd
data_BaBe2B2O6
_cell_length_a 8.815
_cell_length_b 7.273
_cell_length_c 6.747
_cell_angle_alpha 77.82
_cell_angle_beta 53.75
_cell_angle_gamma 48.43
_symmetry_space_group_name_H-M 'P 1'
_symmetry_Int_Tables_number 1
loop_
_symmetry_equiv_pos_as_xyz
'x,y,z'
loop_
_atom_site_label
_atom_site_type_symbol
_atom_site_fract_x
_atom_site_fract_y
_atom_site_fract_z
Ba1 Ba 0.125 0.125 0.125
Ba2 Ba 0.875 0.875 0.875
Be1 Be 0.282 0.282 0.468
Be2 Be 0.468 0.468 0.282
Be3 Be 0.532 0.532 0.718
Be4 Be 0.718 0.718 0.532
B1 B 0.161 0.589 0.161
B2 B 0.411 0.839 0.411
B3 B 0.589 0.161 0.589
B4 B 0.839 0.411 0.839
O1 O 0.031 0.396 0.763
O2 O 0.237 0.691 0.969
O3 O 0.278 0.472 0.278
O4 O 0.309 0.763 0.396
O5 O 0.396 0.031 0.309
O6 O 0.472 0.278 0.472
O7 O 0.528 0.722 0.528
O8 O 0.604 0.969 0.691
O9 O 0.691 0.237 0.604
O10 O 0.722 0.528 0.722
O11 O 0.763 0.309 0.031
O12 O 0.969 0.604 0.237

***

Number 1: total DFT energy (no corrections) -4.14 eV/atom, energy of formation -1.252 eV/f.u.. Number 2: total DFT energy (no corrections) -5.40 eV/atom, energy of formation -0.204 eV/f.u.. Number 3: total DFT energy (no corrections) -7.51 eV/atom, energy of formation -34.326 eV/f.u..